(1)
DFT (PBE) results for crystalline DyAgTe2 at its relaxed geometry.

Cell and atoms, written as CIF:
```
data_DyAgTe2
_chemical_formula_sum 'Dy1 Ag1 Te2'
_cell_length_a 4.5044
_cell_length_b 4.5044
_cell_length_c 7.3420
_cell_angle_alpha 90.00
_cell_angle_beta 90.00
_cell_angle_gamma 120.00
_symmetry_space_group_name_H-M 'P 3 m 1'
_symmetry_Int_Tables_number 156
loop_
_symmetry_equiv_pos_as_xyz
'x,y,z'
'-y,x-y,z'
'-x+y,-x,z'
'-y,-x,z'
'-x+y,y,z'
'x,x-y,z'
loop_
_atom_site_label
_atom_site_fract_x
_atom_site_fract_y
_atom_site_fract_z
Dy1 0.0000 0.0000 0.0000
Ag1 0.3333 0.6667 0.5987
Te1 0.3333 0.6667 0.2204
Te2 0.6667 0.3333 0.7555
```

Calculated values
Volume (Å³/cell): 129
ΔE_f (meV per atom): -1107
Mass density (g/cm3): 6.8
Uncorrected energy (eV per atom): -4.327

***

(2)
DFT (PBE) results for crystalline Na2Ti3O7 at its relaxed geometry.

Cell and atoms, written as CIF:
```
data_Na2Ti3O7
_chemical_formula_sum 'Na4 Ti6 O14'
_cell_length_a 8.662
_cell_length_b 3.820
_cell_length_c 9.240
_cell_angle_alpha 90.00
_cell_angle_beta 101.74
_cell_angle_gamma 90.00
_symmetry_space_group_name_H-M 'P 1 21/m 1'
_symmetry_Int_Tables_number 11
loop_
_symmetry_equiv_pos_as_xyz
'x,y,z'
'-x,-y,-z'
'-x,y+1/2,-z'
'x,-y+1/2,z'
loop_
_atom_site_label
_atom_site_fract_x
_atom_site_fract_y
_atom_site_fract_z
Na1 0.000 0.250 0.158
Na2 0.182 0.250 0.591
Ti1 0.252 0.750 0.325
Ti2 0.353 0.750 0.015
Ti3 0.469 0.750 0.721
O1 0.057 0.750 0.346
O2 0.176 0.750 0.092
O3 0.281 0.750 0.813
O4 0.305 0.250 0.318
O5 0.349 0.750 0.539
O6 0.415 0.250 0.044
O7 0.486 0.750 0.247
```

Calculated values
Volume (Å³/cell): 299
ΔE_f (meV per atom): -3163
Mass density (g/cm3): 3.3
Uncorrected energy (eV per atom): -7.843

***

Question: Among the records above, which one has the lowest volume?
Answer: DyAgTe2

***

Question: What is the uncorrected energy in the first record?
Answer: -4.327 eV per atom